(1)
A plane-wave DFT calculation with PBE was carried out for Ta5Si3N after structural relaxation.

Cell: 7.4728 7.4728 5.4187 Å, 90.00 90.00 120.00°
Space group P6_3/mcm (No. 193)
One atom of each set of equivalent atoms:
Ta 0.0000 0.2351 0.2500
Ta 0.3333 0.6667 0.0000
Si 0.0000 0.4047 0.7500
N 0.0000 0.0000 0.0000

Calculated values
The calculation puts the calculated volume at 14.56 Å³ per atom. The formation energy comes out at -0.73 eV per atom. Its total energy is -180.18 eV for the cell shown. The total energy after the MP2020 corrections comes out at -10.050 eV/atom.

---

(2)
A plane-wave DFT calculation with PBE was carried out for Ti3Si6N11 after structural relaxation.

Cell: 9.7225 9.7225 4.8105 Å, 90.00 90.00 90.00°
Space group P4bm (No. 100)
One atom of each set of equivalent atoms:
Ti 0.0000 0.0000 0.0000
Ti 0.1969 0.3031 0.9669
Si 0.0828 0.7970 0.5616
Si 0.1197 0.6197 0.0803
N 0.0000 0.5000 0.1259
N 0.0752 0.1818 0.7114
N 0.0895 0.7881 0.2051
N 0.1571 0.6571 0.7299

Calculated values
The calculation puts the calculated volume at 11.37 Å³ per atom. The formation energy comes out at -1.10 eV per atom. Its total energy is -331.86 eV for the cell shown. The total energy after the MP2020 corrections comes out at -8.495 eV/atom.